w) Li6V3P8O29 | PBE with a Hubbard U | relaxed

Cell and atoms, written as POSCAR:
```
Li6V3P8O29
1.0
9.818 0.000 0.000
4.892 8.516 0.000
0.062 0.030 14.004
Li V P O
12 6 16 58
Direct
0.226 0.685 0.060 Li
0.093 0.667 0.561 Li
0.665 0.237 0.559 Li
0.329 0.338 0.888 Li
0.690 0.084 0.065 Li
0.091 0.227 0.062 Li
0.234 0.096 0.558 Li
0.317 0.907 0.942 Li
0.336 0.765 0.437 Li
0.897 0.337 0.438 Li
0.775 0.314 0.941 Li
0.961 0.986 0.489 Li
0.573 0.995 0.254 V
0.439 0.001 0.748 V
0.997 0.568 0.753 V
0.999 0.436 0.250 V
0.433 0.568 0.249 V
0.565 0.435 0.748 V
0.229 0.679 0.842 P
0.087 0.686 0.345 P
0.684 0.228 0.341 P
0.337 0.331 0.129 P
0.330 0.336 0.628 P
0.680 0.091 0.846 P
0.778 0.918 0.661 P
0.092 0.228 0.841 P
0.916 0.770 0.161 P
0.228 0.087 0.341 P
0.320 0.914 0.158 P
0.665 0.665 0.372 P
0.665 0.665 0.870 P
0.316 0.772 0.658 P
0.915 0.315 0.656 P
0.769 0.322 0.158 P
0.227 0.772 0.570 O
0.256 0.662 0.335 O
0.012 0.761 0.076 O
0.084 0.661 0.841 O
0.374 0.512 0.824 O
0.330 0.486 0.166 O
0.531 0.384 0.332 O
0.755 0.245 0.069 O
0.666 0.255 0.840 O
0.186 0.489 0.670 O
0.088 0.531 0.334 O
0.486 0.327 0.668 O
0.334 0.333 0.021 O
0.330 0.336 0.522 O
0.489 0.185 0.166 O
0.116 0.371 0.825 O
0.188 0.327 0.167 O
0.658 0.086 0.336 O
0.794 0.992 0.760 O
0.790 0.013 0.580 O
0.743 0.011 0.939 O
0.512 0.116 0.823 O
0.323 0.189 0.669 O
0.749 0.914 0.161 O
0.379 0.092 0.330 O
0.081 0.255 0.338 O
0.993 0.797 0.257 O
0.018 0.773 0.437 O
0.003 0.226 0.568 O
0.917 0.749 0.660 O
0.619 0.922 0.667 O
0.255 0.078 0.842 O
0.678 0.804 0.327 O
0.478 0.906 0.177 O
0.242 0.003 0.068 O
0.220 0.001 0.430 O
0.207 0.001 0.248 O
0.338 0.917 0.658 O
0.815 0.658 0.824 O
0.907 0.618 0.179 O
0.519 0.817 0.827 O
0.663 0.662 0.976 O
0.657 0.661 0.478 O
0.509 0.679 0.329 O
0.914 0.471 0.669 O
0.810 0.509 0.332 O
0.338 0.749 0.157 O
0.212 0.790 0.752 O
0.251 0.751 0.930 O
0.473 0.618 0.669 O
0.663 0.516 0.828 O
0.621 0.481 0.177 O
0.918 0.336 0.158 O
0.000 0.244 0.930 O
0.002 0.210 0.750 O
0.749 0.335 0.658 O
0.779 0.217 0.429 O
0.792 0.209 0.248 O
```

Values from the calculation:
Symmetry: P1

=====

x) Li6V3P8O29 | PBE with a Hubbard U | relaxed

Cell and atoms, written as POSCAR:
```
Li6V3P8O29
1.0
1.163 9.184 -3.290
-2.627 -7.146 -6.209
-13.398 2.639 2.632
Li V P O
12 6 16 58
Direct
0.102 0.763 0.057 Li
0.237 0.896 0.566 Li
0.659 0.763 0.566 Li
0.000 0.000 0.879 Li
0.661 0.898 0.057 Li
0.237 0.339 0.057 Li
0.561 0.989 0.444 Li
0.104 0.341 0.566 Li
0.667 0.333 0.111 Li
0.011 0.572 0.444 Li
0.428 0.439 0.444 Li
0.333 0.667 0.986 Li
0.766 0.098 0.250 V
0.897 0.235 0.753 V
0.338 0.103 0.753 V
0.332 0.234 0.250 V
0.902 0.668 0.250 V
0.765 0.662 0.753 V
0.109 0.758 0.844 P
0.248 0.900 0.343 P
0.652 0.752 0.343 P
0.000 0.000 0.125 P
0.000 0.000 0.627 P
0.649 0.891 0.844 P
0.565 0.986 0.658 P
0.242 0.351 0.844 P
0.421 0.980 0.157 P
0.100 0.348 0.343 P
0.020 0.441 0.157 P
0.667 0.333 0.373 P
0.667 0.333 0.873 P
0.014 0.579 0.658 P
0.421 0.435 0.658 P
0.559 0.579 0.157 P
0.093 0.670 0.569 O
0.083 0.752 0.341 O
0.329 0.882 0.074 O
0.251 0.924 0.838 O
0.959 0.773 0.830 O
0.009 0.855 0.164 O
0.811 0.761 0.322 O
0.553 0.671 0.074 O
0.673 0.749 0.838 O
0.150 0.999 0.669 O
0.239 0.050 0.322 O
0.850 0.850 0.669 O
0.000 0.000 0.017 O
0.000 0.000 0.519 O
0.846 0.991 0.164 O
0.227 0.187 0.830 O
0.145 0.154 0.164 O
0.669 0.917 0.341 O
0.543 0.877 0.751 O
0.577 0.907 0.569 O
0.565 0.887 0.933 O
0.813 0.041 0.830 O
0.001 0.150 0.669 O
0.591 0.004 0.160 O
0.950 0.189 0.322 O
0.248 0.331 0.341 O
0.340 0.880 0.254 O
0.334 0.913 0.434 O
0.330 0.423 0.569 O
0.417 0.001 0.658 O
0.715 0.143 0.673 O
0.076 0.327 0.838 O
0.660 0.180 0.332 O
0.855 0.294 0.169 O
0.118 0.447 0.074 O
0.087 0.422 0.434 O
0.120 0.460 0.254 O
0.999 0.416 0.658 O
0.517 0.185 0.830 O
0.439 0.145 0.169 O
0.815 0.332 0.830 O
0.667 0.333 0.980 O
0.667 0.333 0.480 O
0.820 0.481 0.332 O
0.429 0.285 0.673 O
0.519 0.340 0.332 O
0.996 0.587 0.160 O
0.123 0.667 0.751 O
0.113 0.678 0.933 O
0.857 0.571 0.673 O
0.668 0.483 0.830 O
0.706 0.561 0.169 O
0.413 0.409 0.160 O
0.322 0.435 0.933 O
0.333 0.457 0.751 O
0.584 0.583 0.658 O
0.578 0.666 0.434 O
0.540 0.660 0.254 O
```

Values from the calculation:
Symmetry: P3

=====

w) takes first place; second place is 1.4 kJ/mol of atoms up.

=====

w) Li6V3P8O29 | PBE with a Hubbard U | relaxed

Cell and atoms, written as POSCAR:
```
Li6V3P8O29
1.0
9.790 0.000 0.000
-4.891 8.492 0.000
-0.028 -0.046 13.957
Li V P O
12 6 16 58
Direct
0.092 0.328 0.059 Li
0.100 0.765 0.562 Li
0.340 0.661 0.884 Li
0.232 0.910 0.060 Li
0.676 0.769 0.058 Li
0.338 0.102 0.444 Li
0.663 0.902 0.564 Li
0.903 0.238 0.441 Li
0.766 0.668 0.442 Li
0.898 0.664 0.939 Li
0.014 0.043 0.987 Li
0.043 0.053 0.515 Li
0.435 0.001 0.248 V
0.565 0.004 0.756 V
0.434 0.434 0.747 V
0.561 0.563 0.250 V
0.001 0.432 0.250 V
0.998 0.561 0.747 V
0.092 0.313 0.842 P
0.224 0.306 0.344 P
0.088 0.772 0.342 P
0.331 0.666 0.127 P
0.339 0.672 0.631 P
0.220 0.905 0.844 P
0.309 0.084 0.660 P
0.686 0.777 0.843 P
0.306 0.224 0.155 P
0.685 0.914 0.344 P
0.777 0.083 0.158 P
0.669 0.334 0.369 P
0.666 0.339 0.870 P
0.912 0.221 0.658 P
0.772 0.687 0.656 P
0.911 0.683 0.158 P
0.991 0.211 0.567 O
0.084 0.338 0.342 O
0.203 0.208 0.071 O
0.259 0.339 0.838 O
0.103 0.476 0.829 O
0.188 0.510 0.166 O
0.091 0.618 0.327 O
0.996 0.769 0.068 O
0.075 0.735 0.839 O
0.334 0.525 0.677 O
0.383 0.462 0.332 O
0.189 0.677 0.668 O
0.330 0.665 0.019 O
0.348 0.680 0.524 O
0.320 0.810 0.166 O
0.524 0.626 0.833 O
0.486 0.677 0.167 O
0.256 0.918 0.341 O
0.201 0.992 0.752 O
0.214 0.998 0.570 O
0.212 0.984 0.934 O
0.370 0.890 0.833 O
0.490 0.818 0.676 O
0.338 0.083 0.160 O
0.527 0.910 0.326 O
0.661 0.745 0.341 O
0.202 0.202 0.250 O
0.213 0.206 0.428 O
0.778 0.781 0.569 O
0.334 0.250 0.662 O
0.462 0.079 0.668 O
0.664 0.920 0.842 O
0.513 0.189 0.329 O
0.620 0.082 0.167 O
0.793 0.994 0.076 O
0.766 0.998 0.435 O
0.799 0.008 0.257 O
0.742 0.083 0.661 O
0.524 0.343 0.822 O
0.461 0.380 0.167 O
0.660 0.188 0.826 O
0.667 0.345 0.977 O
0.672 0.335 0.476 O
0.813 0.321 0.329 O
0.619 0.531 0.664 O
0.679 0.489 0.328 O
0.918 0.255 0.160 O
0.999 0.203 0.751 O
0.009 0.228 0.932 O
0.917 0.381 0.668 O
0.817 0.486 0.828 O
0.907 0.526 0.173 O
0.742 0.660 0.160 O
0.777 0.775 0.931 O
0.793 0.792 0.751 O
0.919 0.665 0.657 O
0.001 0.770 0.432 O
0.000 0.794 0.250 O
```

Values from the calculation:
Symmetry: P1

=====

x) Li6V3P8O29 | PBE with a Hubbard U | relaxed

Cell and atoms, written as POSCAR:
```
Li6V3P8O29
1.0
4.924 8.518 0.000
-4.924 8.518 0.000
0.000 0.034 13.941
Li V P O
12 6 16 58
Direct
0.225 0.690 0.689 Li
0.678 0.226 0.191 Li
0.329 0.332 0.866 Li
0.683 0.092 0.687 Li
0.093 0.224 0.689 Li
0.776 0.907 0.311 Li
0.228 0.092 0.189 Li
0.908 0.772 0.811 Li
0.668 0.671 0.134 Li
0.310 0.775 0.311 Li
0.908 0.317 0.313 Li
0.774 0.322 0.809 Li
0.567 0.000 0.502 V
0.434 0.996 0.995 V
0.004 0.566 0.005 V
0.000 0.433 0.498 V
0.431 0.569 0.500 V
0.564 0.436 0.000 V
0.230 0.682 0.907 P
0.085 0.683 0.409 P
0.678 0.233 0.409 P
0.333 0.334 0.624 P
0.336 0.328 0.123 P
0.679 0.091 0.908 P
0.769 0.911 0.093 P
0.089 0.231 0.907 P
0.913 0.766 0.593 P
0.234 0.087 0.407 P
0.317 0.915 0.591 P
0.666 0.667 0.376 P
0.672 0.664 0.877 P
0.318 0.770 0.093 P
0.909 0.321 0.092 P
0.767 0.322 0.591 P
0.247 0.756 0.184 O
0.253 0.661 0.410 O
0.999 0.757 0.684 O
0.082 0.665 0.910 O
0.375 0.514 0.925 O
0.326 0.488 0.585 O
0.519 0.381 0.426 O
0.759 0.243 0.681 O
0.667 0.254 0.907 O
0.187 0.473 0.077 O
0.095 0.522 0.426 O
0.485 0.332 0.082 O
0.336 0.334 0.732 O
0.334 0.326 0.229 O
0.489 0.187 0.586 O
0.107 0.378 0.922 O
0.187 0.327 0.586 O
0.662 0.084 0.411 O
0.783 0.003 0.000 O
0.754 0.004 0.181 O
0.757 0.999 0.819 O
0.512 0.114 0.922 O
0.337 0.178 0.080 O
0.749 0.917 0.591 O
0.379 0.102 0.426 O
0.083 0.251 0.409 O
0.007 0.786 0.505 O
0.993 0.768 0.323 O
0.001 0.243 0.181 O
0.914 0.748 0.090 O
0.622 0.893 0.078 O
0.252 0.086 0.910 O
0.673 0.813 0.414 O
0.478 0.905 0.574 O
0.232 0.007 0.677 O
0.243 0.001 0.316 O
0.214 0.993 0.495 O
0.335 0.918 0.090 O
0.822 0.663 0.920 O
0.898 0.621 0.574 O
0.527 0.813 0.923 O
0.674 0.666 0.771 O
0.666 0.664 0.268 O
0.512 0.674 0.415 O
0.886 0.488 0.078 O
0.813 0.511 0.414 O
0.339 0.747 0.590 O
0.214 0.786 0.000 O
0.244 0.753 0.816 O
0.486 0.625 0.075 O
0.668 0.515 0.918 O
0.619 0.481 0.574 O
0.916 0.338 0.589 O
0.996 0.246 0.819 O
0.997 0.217 0.000 O
0.746 0.333 0.093 O
0.757 0.241 0.319 O
0.789 0.211 0.500 O
```

Values from the calculation:
Symmetry: C2

=====

x) takes first place; second place is 0.5 kJ/mol of atoms up.

=====

w) BaNdEuWO6 | PBE with a Hubbard U | relaxed

Cell and atoms, written as POSCAR:
```
BaNdEuWO6
1.0
0.000 -4.315 -4.315
4.315 0.000 -4.315
4.315 -4.315 0.000
Ba Nd Eu W O
1 1 1 1 6
Direct
0.750 0.750 0.750 Ba
0.000 0.000 0.000 Nd
0.250 0.250 0.250 Eu
0.500 0.500 0.500 W
0.732 0.268 0.268 O
0.268 0.732 0.732 O
0.732 0.268 0.732 O
0.268 0.732 0.268 O
0.732 0.732 0.268 O
0.268 0.268 0.732 O
```

Values from the calculation:
Symmetry: F-43m

=====

x) BaNdEuWO6 | PBE with a Hubbard U | relaxed

Cell and atoms, written as POSCAR:
```
BaNdEuWO6
1.0
-0.903 -2.032 -5.605
-4.499 -3.485 2.063
-5.578 6.401 -1.359
Ba Nd Eu W O
2 2 2 2 12
Direct
0.506 0.530 0.249 Ba
0.494 0.470 0.751 Ba
0.000 0.500 0.000 Nd
0.500 0.000 0.500 Nd
0.995 0.037 0.252 Eu
0.005 0.963 0.748 Eu
0.500 0.000 0.000 W
0.000 0.500 0.500 W
0.230 0.191 0.955 O
0.261 0.694 0.532 O
0.770 0.809 0.045 O
0.739 0.306 0.468 O
0.304 0.740 0.957 O
0.187 0.222 0.546 O
0.696 0.260 0.043 O
0.813 0.778 0.454 O
0.408 0.995 0.231 O
0.065 0.466 0.267 O
0.592 0.005 0.769 O
0.935 0.534 0.733 O
```

Values from the calculation:
Symmetry: P-1

=====

x) takes first place; second place is 12.1 kJ/mol of atoms up.